No. 1
# B4W | the Materials Project database | PBE | optimized geometry
# E_tot: -7.53 eV per atom
# Energy relative to the lowest polymorph listed for this composition: 0 meV/atom
# Total magnetization: 0.00 μB per cell
# ρ: 9.35 g/cm3
# Energy relative to the elements: 401 meV/atom
data_B4W
_chemical_formula_sum 'B16 W4'
_space_group_name_H-M_alt 'P 63/m m c'
_space_group_IT_number 194
_space_group_name_Hall '-P 6c 2c'
_cell_length_a 5.3657
_cell_length_b 5.3657
_cell_length_c 6.4697
_cell_angle_alpha 90.00
_cell_angle_beta 90.00
_cell_angle_gamma 120.00
loop_
_atom_site_label
_atom_site_type_symbol
_atom_site_fract_x
_atom_site_fract_y
_atom_site_fract_z
_atom_site_occupancy
B1 B 0.0000 0.3372 0.0000 1
B2 B 0.3333 0.6667 0.1190 1
W1 W 0.0000 0.0000 0.2500 1
W2 W 0.3333 0.6667 0.7500 1



No. 2
# YB4W | the Materials Project database | PBE | optimized geometry
# E_tot: -8.28 eV per atom
# Total magnetization: 0.04 μB per cell
# ρ: 8.18 g/cm3
# Energy relative to the elements: -586 meV/atom
data_YB4W
_chemical_formula_sum 'Y4 B16 W4'
_space_group_name_H-M_alt 'P b a m'
_space_group_IT_number 55
_cell_length_a 6.0468
_cell_length_b 11.6856
_cell_length_c 3.6306
_cell_angle_alpha 90.00
_cell_angle_beta 90.00
_cell_angle_gamma 90.00
loop_
_space_group_symop_operation_xyz
'x,y,z'
'-x,-y,-z'
'-x,-y,z'
'x,y,-z'
'x+1/2,-y+1/2,-z'
'-x+1/2,y+1/2,z'
'-x+1/2,y+1/2,-z'
'x+1/2,-y+1/2,z'
loop_
_atom_site_label
_atom_site_type_symbol
_atom_site_fract_x
_atom_site_fract_y
_atom_site_fract_z
_atom_site_occupancy
Y1 Y 0.1269 0.1498 0.0000 1
B1 B 0.0241 0.6931 0.5000 1
B2 B 0.1140 0.5472 0.5000 1
B3 B 0.1336 0.9678 0.5000 1
B4 B 0.2135 0.8136 0.5000 1
W1 W 0.1305 0.4158 0.0000 1



No. 3
# YB2 | the Materials Project database | PBE | optimized geometry
# E_tot: -7.17 eV per atom
# ρ: 5.05 g/cm3
# Energy relative to the elements: -564 meV/atom
data_YB2
_chemical_formula_sum 'Y1 B2'
_space_group_name_H-M_alt 'P 6/m m m'
_space_group_IT_number 191
_space_group_name_Hall '-P 6 2'
_cell_length_a 3.3014
_cell_length_b 3.3014
_cell_length_c 3.8540
_cell_angle_alpha 90.00
_cell_angle_beta 90.00
_cell_angle_gamma 120.00
loop_
_atom_site_label
_atom_site_type_symbol
_atom_site_fract_x
_atom_site_fract_y
_atom_site_fract_z
_atom_site_occupancy
Y1 Y 0.0000 0.0000 0.0000 1
B1 B 0.3333 0.6667 0.5000 1



No. 4
# YB4 | the Materials Project database | PBE | optimized geometry
# E_tot: -7.22 eV per atom
# ρ: 4.31 g/cm3
# Energy relative to the elements: -588 meV/atom
data_YB4
_chemical_formula_sum 'Y4 B16'
_space_group_name_H-M_alt 'P 4/m b m'
_space_group_IT_number 127
_space_group_name_Hall '-P 4 2ab'
_cell_length_a 7.1126
_cell_length_b 7.1126
_cell_length_c 4.0271
_cell_angle_alpha 90.00
_cell_angle_beta 90.00
_cell_angle_gamma 90.00
loop_
_atom_site_label
_atom_site_type_symbol
_atom_site_fract_x
_atom_site_fract_y
_atom_site_fract_z
_atom_site_occupancy
Y1 Y 0.1820 0.3180 0.0000 1
B1 B 0.0000 0.0000 0.2031 1
B2 B 0.0386 0.8240 0.5000 1
B3 B 0.0871 0.5871 0.5000 1



No. 5
# YB6 | the Materials Project database | PBE | optimized geometry
# E_tot: -7.05 eV per atom
# ρ: 3.70 g/cm3
# Energy relative to the elements: -400 meV/atom
data_YB6
_chemical_formula_sum 'Y1 B6'
_space_group_name_H-M_alt 'P m -3 m'
_space_group_IT_number 221
_space_group_name_Hall '-P 4 2 3'
_cell_length_a 4.1021
_cell_length_b 4.1021
_cell_length_c 4.1021
_cell_angle_alpha 90.00
_cell_angle_beta 90.00
_cell_angle_gamma 90.00
loop_
_atom_site_label
_atom_site_type_symbol
_atom_site_fract_x
_atom_site_fract_y
_atom_site_fract_z
_atom_site_occupancy
Y1 Y 0.0000 0.0000 0.0000 1
B1 B 0.1990 0.5000 0.5000 1



No. 6
# Zn3B | the Materials Project database | PBE | optimized geometry
# E_tot: -2.00 eV per atom
# Energy relative to the lowest polymorph listed for this composition: 0 meV/atom
# Total magnetization: 0.00 μB per cell
# ρ: 6.71 g/cm3
# Energy relative to the elements: 617 meV/atom
data_Zn3B
_chemical_formula_sum 'Zn6 B2'
_space_group_name_H-M_alt 'I 4/m m m'
_space_group_IT_number 139
_space_group_name_Hall '-I 4 2'
_cell_length_a 3.7180
_cell_length_b 3.7180
_cell_length_c 7.4147
_cell_angle_alpha 90.00
_cell_angle_beta 90.00
_cell_angle_gamma 90.00
loop_
_atom_site_label
_atom_site_type_symbol
_atom_site_fract_x
_atom_site_fract_y
_atom_site_fract_z
_atom_site_occupancy
Zn1 Zn 0.0000 0.0000 0.0000 1
Zn2 Zn 0.0000 0.5000 0.2500 1
B1 B 0.0000 0.0000 0.5000 1



No. 7
# Zn3B | the Materials Project database | PBE | optimized geometry
# E_tot: -1.99 eV per atom
# Energy relative to the lowest polymorph listed for this composition: 4 meV/atom
# Total magnetization: 0.00 μB per cell
# ρ: 6.79 g/cm3
# Energy relative to the elements: 620 meV/atom
data_Zn3B
_chemical_formula_sum 'Zn3 B1'
_space_group_name_H-M_alt 'P m -3 m'
_space_group_IT_number 221
_space_group_name_Hall '-P 4 2 3'
_cell_length_a 3.7002
_cell_length_b 3.7002
_cell_length_c 3.7002
_cell_angle_alpha 90.00
_cell_angle_beta 90.00
_cell_angle_gamma 90.00
loop_
_atom_site_label
_atom_site_type_symbol
_atom_site_fract_x
_atom_site_fract_y
_atom_site_fract_z
_atom_site_occupancy
Zn1 Zn 0.0000 0.0000 0.5000 1
B1 B 0.5000 0.5000 0.5000 1



No. 8
# ZrB2 | the Materials Project database | PBE | optimized geometry
# E_tot: -8.29 eV per atom
# ρ: 6.03 g/cm3
# Energy relative to the elements: -987 meV/atom
data_ZrB2
_chemical_formula_sum 'Zr1 B2'
_space_group_name_H-M_alt 'P 6/m m m'
_space_group_IT_number 191
_space_group_name_Hall '-P 6 2'
_cell_length_a 3.1805
_cell_length_b 3.1805
_cell_length_c 3.5455
_cell_angle_alpha 90.00
_cell_angle_beta 90.00
_cell_angle_gamma 120.00
loop_
_atom_site_label
_atom_site_type_symbol
_atom_site_fract_x
_atom_site_fract_y
_atom_site_fract_z
_atom_site_occupancy
Zr1 Zr 0.0000 0.0000 0.0000 1
B1 B 0.3333 0.6667 0.5000 1



No. 9
# ZrB6 | the Materials Project database | PBE | optimized geometry
# E_tot: -6.97 eV per atom
# Total magnetization: 0.01 μB per cell
# ρ: 3.88 g/cm3
# Energy relative to the elements: -21 meV/atom
data_ZrB6
_chemical_formula_sum 'Zr1 B6'
_space_group_name_H-M_alt 'P m -3 m'
_space_group_IT_number 221
_space_group_name_Hall '-P 4 2 3'
_cell_length_a 4.0588
_cell_length_b 4.0588
_cell_length_c 4.0588
_cell_angle_alpha 90.00
_cell_angle_beta 90.00
_cell_angle_gamma 90.00
loop_
_atom_site_label
_atom_site_type_symbol
_atom_site_fract_x
_atom_site_fract_y
_atom_site_fract_z
_atom_site_occupancy
Zr1 Zr 0.0000 0.0000 0.0000 1
B1 B 0.1976 0.5000 0.5000 1



No. 10
# Ba3Zr6BeCl18 | the Materials Project database | PBE | optimized geometry
# E_tot: -5.25 eV per atom
# Total magnetization: 0.06 μB per cell
# ρ: 3.56 g/cm3
# Energy relative to the elements: -2287 meV/atom
data_Ba3Zr6BeCl18
_chemical_formula_sum 'Ba18 Zr36 Be6 Cl108'
_space_group_name_H-M_alt 'R -3 c'
_space_group_IT_number 167
_space_group_name_Hall '-R 3 2"c'
_cell_length_a 9.8562
_cell_length_b 9.8562
_cell_length_c 53.5142
_cell_angle_alpha 90.00
_cell_angle_beta 90.00
_cell_angle_gamma 120.00
loop_
_atom_site_label
_atom_site_type_symbol
_atom_site_fract_x
_atom_site_fract_y
_atom_site_fract_z
_atom_site_occupancy
Ba1 Ba 0.0000 0.0000 0.1114 1
Ba2 Ba 0.0000 0.0000 0.2500 1
Zr1 Zr 0.0166 0.2035 0.4749 1
Be1 Be 0.0000 0.0000 0.0000 1
Cl1 Cl 0.0178 0.2153 0.5568 1
Cl2 Cl 0.0247 0.4415 0.4474 1
Cl3 Cl 0.0929 0.5249 0.8323 1



No. 11
# BaBeGa | the Materials Project database | PBE | optimized geometry
# E_tot: -2.05 eV per atom
# Total magnetization: 0.23 μB per cell
# ρ: 3.63 g/cm3
# Energy relative to the elements: 849 meV/atom
data_BaBeGa
_chemical_formula_sum 'Ba4 Be4 Ga4'
_space_group_name_H-M_alt 'F -4 3 m'
_space_group_IT_number 216
_space_group_name_Hall 'F -4 2 3'
_cell_length_a 7.3389
_cell_length_b 7.3389
_cell_length_c 7.3389
_cell_angle_alpha 90.00
_cell_angle_beta 90.00
_cell_angle_gamma 90.00
loop_
_atom_site_label
_atom_site_type_symbol
_atom_site_fract_x
_atom_site_fract_y
_atom_site_fract_z
_atom_site_occupancy
Ba1 Ba 0.0000 0.0000 0.0000 1
Be1 Be 0.2500 0.2500 0.7500 1
Ga1 Ga 0.2500 0.2500 0.2500 1



No. 12
# BaBeO3 | the Materials Project database | PBE | optimized geometry
# E_tot: -5.71 eV per atom
# Total magnetization: 2.00 μB per cell
# ρ: 5.46 g/cm3
# Energy relative to the elements: -2026 meV/atom
data_BaBeO3
_chemical_formula_sum 'Ba1 Be1 O3'
_space_group_name_H-M_alt 'P m -3 m'
_space_group_IT_number 221
_space_group_name_Hall '-P 4 2 3'
_cell_length_a 3.8941
_cell_length_b 3.8941
_cell_length_c 3.8941
_cell_angle_alpha 90.00
_cell_angle_beta 90.00
_cell_angle_gamma 90.00
loop_
_atom_site_label
_atom_site_type_symbol
_atom_site_fract_x
_atom_site_fract_y
_atom_site_fract_z
_atom_site_occupancy
Ba1 Ba 0.0000 0.0000 0.0000 1
Be1 Be 0.5000 0.5000 0.5000 1
O1 O 0.0000 0.5000 0.5000 1